Record 1
# LiFe6Ge4, relaxed, DFT PBE-GGA
data_LiFe6Ge4
_chemical_formula_sum 'Li3 Fe18 Ge12'
_cell_length_a 5.0474
_cell_length_b 5.0474
_cell_length_c 19.5027
_cell_angle_alpha 90.00
_cell_angle_beta 90.00
_cell_angle_gamma 120.00
_symmetry_space_group_name_H-M 'R -3 m'
_symmetry_Int_Tables_number 166
_symmetry_space_group_name_Hall '-R 3 2"'
loop_
_atom_site_label
_atom_site_type_symbol
_atom_site_fract_x
_atom_site_fract_y
_atom_site_fract_z
_atom_site_occupancy
Li1 Li 0.0000 0.0000 0.0000 1
Fe1 Fe 0.0089 0.5045 0.1047 1
Ge1 Ge 0.0000 0.0000 0.1273 1
Ge2 Ge 0.0000 0.0000 0.3316 1
# - Raw total energy: -6.64 eV per atom
# - Calculated volume: 13.04 Å³ per atom
# - E_form: -0.168 eV/atom

Record 2
# LuFeGe2, relaxed, DFT PBE-GGA
data_LuFeGe2
_chemical_formula_sum 'Lu4 Fe4 Ge8'
_cell_length_a 4.034
_cell_length_b 16.815
_cell_length_c 4.141
_cell_angle_alpha 90.00
_cell_angle_beta 90.00
_cell_angle_gamma 90.00
_symmetry_space_group_name_H-M 'C m c m'
_symmetry_Int_Tables_number 63
_symmetry_space_group_name_Hall '-C 2c 2'
loop_
_atom_site_label
_atom_site_type_symbol
_atom_site_fract_x
_atom_site_fract_y
_atom_site_fract_z
_atom_site_occupancy
Lu1 Lu 0.000 0.110 0.250 1
Fe1 Fe 0.000 0.322 0.250 1
Ge1 Ge 0.000 0.253 0.750 1
Ge2 Ge 0.000 0.456 0.250 1
# - Raw total energy: -5.96 eV per atom
# - Calculated volume: 17.55 Å³ per atom
# - E_form: -0.396 eV/atom
# - Total magnetization: 0.127 μB/f.u.